1.
Crystalline K2Ge2Se5 at its relaxed geometry, computed with GGA-PBE.

## Properties
- crystal system = monoclinic
- V (Å³/cell) = 1252
- energy relative to the lowest polymorph listed for this composition (kJ/mol of formula units) = 0
- formation enthalpy at 0 K (eV per formula unit) = -8.6

a b c (Å): 11.913 10.075 10.434
angles (deg): 89.85 90.00 90.00
Atoms (fractional coordinates):
Ge (0.088, 0.233, 0.737)
Ge (0.250, 0.201, 0.054)
Ge (0.588, 0.767, 0.263)
Ge (0.412, 0.233, 0.737)
Ge (0.912, 0.767, 0.263)
Ge (0.750, 0.799, 0.946)
Ge (0.750, 0.089, 0.179)
Ge (0.250, 0.911, 0.821)
Se (0.426, 0.684, 0.356)
Se (0.415, 0.995, 0.711)
Se (0.250, 0.964, 0.044)
Se (0.583, 0.704, 0.041)
Se (0.074, 0.684, 0.356)
Se (0.750, 0.036, 0.956)
Se (0.250, 0.684, 0.800)
Se (0.917, 0.704, 0.041)
Se (0.750, 0.735, 0.733)
Se (0.574, 0.316, 0.644)
Se (0.083, 0.296, 0.959)
Se (0.085, 0.995, 0.711)
Se (0.750, 0.316, 0.200)
Se (0.915, 0.005, 0.289)
Se (0.250, 0.325, 0.627)
Se (0.750, 0.675, 0.373)
Se (0.585, 0.005, 0.289)
Se (0.250, 0.265, 0.267)
Se (0.926, 0.316, 0.644)
Se (0.417, 0.296, 0.959)
K (0.493, 0.638, 0.666)
K (0.750, 0.041, 0.581)
K (0.007, 0.638, 0.666)
K (0.993, 0.362, 0.334)
K (0.507, 0.362, 0.334)
K (0.250, 0.959, 0.419)
K (0.750, 0.406, 0.893)
K (0.250, 0.594, 0.107)


2.
Crystalline K2GeSe3 at its relaxed geometry, computed with GGA-PBE.

## Properties
- crystal system = triclinic
- V (Å³/cell) = 405
- formation enthalpy at 0 K (eV per formula unit) = -6.6

a b c (Å): 6.945 7.602 8.814
angles (deg): 75.92 73.20 66.76
Atoms (fractional coordinates):
Ge (0.861, 0.058, 0.682)
Ge (0.139, 0.942, 0.318)
Se (0.334, 0.619, 0.283)
Se (0.867, 0.819, 0.906)
Se (0.133, 0.181, 0.094)
Se (0.666, 0.381, 0.717)
Se (0.774, 0.965, 0.465)
Se (0.226, 0.035, 0.535)
K (0.154, 0.465, 0.678)
K (0.387, 0.799, 0.893)
K (0.846, 0.535, 0.322)
K (0.613, 0.201, 0.107)